Below is crystalline Na9Mg8Ta4P9S9O72 at its relaxed geometry, with properties calculated at the PBE level.

Cell and atoms, written as POSCAR:
```
Na9Mg8Ta4P9S9O72
1.0
-8.497 1.977 -1.074
2.304 -7.707 3.497
-0.453 9.277 20.607
Na Mg Ta P S O
9 8 4 9 9 72
Direct
0.660 0.966 0.583
0.299 0.959 0.082
0.031 0.339 0.083
0.018 0.001 0.495
0.982 0.983 0.994
0.665 0.334 0.829
0.669 0.336 0.329
0.347 0.675 0.162
0.320 0.663 0.662
0.000 0.999 0.354
0.000 0.999 0.854
0.016 0.002 0.648
0.983 0.986 0.147
0.662 0.330 0.685
0.671 0.334 0.184
0.339 0.672 0.017
0.327 0.667 0.517
0.677 0.338 0.977
0.658 0.329 0.477
0.331 0.667 0.317
0.336 0.669 0.817
0.373 0.039 0.585
0.960 0.627 0.085
0.664 0.040 0.085
0.627 0.670 0.919
0.047 0.372 0.919
0.329 0.960 0.920
0.629 0.955 0.420
0.326 0.374 0.419
0.041 0.670 0.419
0.293 0.003 0.250
0.706 0.705 0.251
0.999 0.291 0.250
0.292 0.292 0.751
0.998 0.706 0.751
0.710 0.002 0.750
0.958 0.336 0.585
0.666 0.623 0.585
0.380 0.337 0.085
0.206 0.020 0.302
0.811 0.789 0.304
0.982 0.186 0.302
0.210 0.188 0.803
0.977 0.788 0.803
0.815 0.019 0.801
0.779 0.969 0.694
0.187 0.220 0.697
0.032 0.812 0.697
0.777 0.811 0.197
0.031 0.221 0.195
0.192 0.970 0.195
0.876 0.361 0.637
0.493 0.128 0.638
0.647 0.519 0.637
0.872 0.510 0.138
0.630 0.125 0.138
0.484 0.361 0.137
0.465 0.309 0.030
0.840 0.530 0.028
0.688 0.164 0.028
0.477 0.162 0.528
0.689 0.535 0.530
0.843 0.312 0.530
0.540 0.691 0.973
0.146 0.454 0.976
0.307 0.856 0.976
0.548 0.854 0.476
0.308 0.462 0.473
0.151 0.693 0.473
0.132 0.635 0.362
0.501 0.863 0.365
0.361 0.497 0.363
0.140 0.498 0.864
0.363 0.865 0.864
0.504 0.638 0.862
0.014 0.823 0.407
0.809 0.985 0.408
0.177 0.193 0.408
0.017 0.191 0.908
0.176 0.985 0.908
0.807 0.823 0.908
0.961 0.168 0.587
0.195 0.030 0.586
0.824 0.802 0.587
0.983 0.812 0.087
0.840 0.041 0.087
0.203 0.173 0.088
0.683 0.154 0.745
0.472 0.321 0.745
0.847 0.526 0.744
0.678 0.526 0.245
0.848 0.319 0.246
0.473 0.155 0.246
0.634 0.493 0.923
0.861 0.365 0.922
0.505 0.143 0.923
0.637 0.142 0.424
0.505 0.367 0.424
0.857 0.494 0.424
0.354 0.489 0.078
0.141 0.641 0.077
0.503 0.859 0.077
0.361 0.859 0.577
0.509 0.642 0.578
0.134 0.488 0.577
0.312 0.836 0.258
0.522 0.688 0.259
0.166 0.476 0.258
0.311 0.477 0.758
0.164 0.687 0.758
0.525 0.836 0.757
```

Results
DFT total energy, eV per cell: -755.61
Calculated formation energy, eV/atom: -2.619

***

Below is crystalline Na3Mg4Ta2P3S6O36 at its relaxed geometry, with properties calculated at the PBE level.

Cell and atoms, written as POSCAR:
```
Na3Mg4Ta2P3S6O36
1.0
8.681 0.000 0.000
-4.341 7.518 0.000
0.000 0.000 22.732
Na Mg Ta P S O
6 8 4 6 12 72
Direct
0.000 0.000 0.496
0.000 0.000 0.996
0.667 0.333 0.829
0.667 0.333 0.329
0.333 0.667 0.162
0.333 0.667 0.662
0.000 0.000 0.354
0.000 0.000 0.854
0.000 0.000 0.647
0.000 0.000 0.147
0.667 0.333 0.685
0.667 0.333 0.185
0.333 0.667 0.018
0.333 0.667 0.518
0.667 0.333 0.977
0.667 0.333 0.477
0.333 0.667 0.317
0.333 0.667 0.817
0.627 0.674 0.920
0.047 0.373 0.920
0.326 0.953 0.920
0.627 0.953 0.420
0.326 0.373 0.420
0.047 0.674 0.420
0.292 0.002 0.250
0.711 0.708 0.250
0.998 0.289 0.250
0.292 0.289 0.750
0.998 0.708 0.750
0.711 0.002 0.750
0.959 0.334 0.585
0.376 0.041 0.585
0.666 0.624 0.585
0.959 0.624 0.085
0.666 0.041 0.085
0.376 0.334 0.085
0.210 0.024 0.303
0.814 0.790 0.303
0.976 0.186 0.303
0.210 0.186 0.803
0.976 0.790 0.803
0.814 0.024 0.803
0.783 0.967 0.697
0.185 0.217 0.697
0.033 0.815 0.697
0.783 0.815 0.197
0.033 0.217 0.197
0.185 0.967 0.197
0.873 0.357 0.636
0.484 0.127 0.636
0.643 0.516 0.636
0.873 0.516 0.136
0.643 0.127 0.136
0.484 0.357 0.136
0.469 0.312 0.030
0.843 0.531 0.030
0.688 0.157 0.030
0.469 0.157 0.530
0.688 0.531 0.530
0.843 0.312 0.530
0.540 0.694 0.973
0.154 0.460 0.973
0.306 0.846 0.973
0.540 0.846 0.473
0.306 0.460 0.473
0.154 0.694 0.473
0.132 0.635 0.363
0.503 0.868 0.363
0.365 0.497 0.363
0.132 0.497 0.863
0.365 0.868 0.863
0.503 0.635 0.863
0.015 0.825 0.408
0.810 0.985 0.408
0.175 0.190 0.408
0.015 0.190 0.908
0.175 0.985 0.908
0.810 0.825 0.908
0.969 0.170 0.587
0.201 0.031 0.587
0.830 0.799 0.587
0.969 0.799 0.087
0.830 0.031 0.087
0.201 0.170 0.087
0.682 0.155 0.744
0.474 0.318 0.744
0.845 0.526 0.744
0.682 0.526 0.244
0.845 0.318 0.244
0.474 0.155 0.244
0.636 0.495 0.925
0.859 0.364 0.925
0.505 0.141 0.925
0.636 0.141 0.425
0.505 0.364 0.425
0.859 0.495 0.425
0.359 0.493 0.077
0.134 0.641 0.077
0.507 0.866 0.077
0.359 0.866 0.577
0.507 0.641 0.577
0.134 0.493 0.577
0.311 0.835 0.258
0.524 0.689 0.258
0.165 0.476 0.258
0.311 0.476 0.758
0.165 0.689 0.758
0.524 0.835 0.758
```

Results
DFT total energy, eV per cell: -730.87
Calculated formation energy, eV/atom: -2.535